[1]
Sm3MgTi4O14: optimized geometry, PBE.

```
Sm3MgTi4O14
1.0
6.174 -3.648 0.000
6.174 3.648 0.000
4.019 0.000 5.939
O Mg Ti Sm
14 1 4 3
direct
0.931 0.322 0.322
0.614 0.614 0.614
0.322 0.931 0.322
0.080 0.672 0.080
0.322 0.322 0.931
0.328 0.920 0.920
0.069 0.678 0.678
0.678 0.069 0.678
0.672 0.080 0.080
0.920 0.920 0.328
0.386 0.386 0.386
0.080 0.080 0.672
0.920 0.328 0.920
0.678 0.678 0.069
0.500 0.500 0.500
0.000 0.000 0.500
0.000 0.500 0.000
0.500 0.000 0.000
0.000 0.000 0.000
0.500 0.500 0.000
0.500 0.000 0.500
0.000 0.500 0.500
```

Summary:
M_tot = 1.0 μB/f.u.

---

[2]
AsSCl3F6: optimized geometry, PBE.

```
AsSCl3F6
1.0
8.076 0.000 0.000
0.000 8.932 0.000
0.000 0.000 12.269
Cl As F S
12 4 24 4
direct
0.335 0.168 0.445
0.142 0.990 0.621
0.665 0.668 0.055
0.278 0.827 0.411
0.778 0.673 0.589
0.358 0.010 0.121
0.165 0.832 0.945
0.642 0.510 0.379
0.835 0.332 0.555
0.722 0.327 0.089
0.222 0.173 0.911
0.858 0.490 0.879
0.794 0.969 0.313
0.706 0.031 0.813
0.294 0.531 0.687
0.206 0.469 0.187
0.375 0.374 0.250
0.296 0.643 0.224
0.625 0.874 0.250
0.182 0.529 0.562
0.875 0.126 0.750
0.125 0.626 0.750
0.318 0.471 0.062
0.682 0.971 0.438
0.704 0.143 0.276
0.040 0.564 0.124
0.540 0.936 0.876
0.204 0.357 0.724
0.617 0.206 0.850
0.818 0.029 0.938
0.597 0.037 0.687
0.383 0.706 0.650
0.796 0.857 0.776
0.883 0.794 0.350
0.097 0.463 0.313
0.903 0.963 0.187
0.117 0.294 0.150
0.403 0.537 0.813
0.960 0.064 0.376
0.460 0.436 0.624
0.659 0.475 0.975
0.159 0.025 0.025
0.841 0.525 0.475
0.341 0.975 0.525
```

Summary:
M_tot = 0.0 μB/f.u.

---

[3]
LiTmSiO4: optimized geometry, PBE.

```
LiTmSiO4
1.0
4.939 0.000 0.000
0.000 6.267 0.000
0.000 0.000 10.848
Tm Si Li O
4 4 4 16
direct
0.480 0.250 0.223
0.980 0.750 0.277
0.020 0.250 0.723
0.520 0.750 0.777
0.417 0.750 0.088
0.917 0.250 0.412
0.083 0.750 0.588
0.583 0.250 0.912
0.000 0.500 0.000
0.500 0.500 0.500
0.000 0.000 0.000
0.500 0.000 0.500
0.774 0.045 0.337
0.287 0.750 0.949
0.213 0.750 0.449
0.726 0.045 0.837
0.226 0.545 0.663
0.274 0.955 0.163
0.713 0.250 0.051
0.774 0.455 0.337
0.226 0.955 0.663
0.245 0.250 0.402
0.726 0.455 0.837
0.745 0.750 0.098
0.274 0.545 0.163
0.255 0.250 0.902
0.787 0.250 0.551
0.755 0.750 0.598
```

Summary:
M_tot = 0.0 μB/f.u.

---

[4]
La2In3Cu9: optimized geometry, PBE.

```
La2In3Cu9
1.0
-2.351 -3.717 2.818
-2.323 -5.447 -9.120
14.950 -8.496 1.266
Cu In La
36 12 8
direct
0.244 0.868 0.153
0.744 0.632 0.653
0.000 0.541 0.413
0.500 0.434 0.666
0.000 0.839 0.648
0.000 0.452 0.091
0.244 0.132 0.847
0.500 0.952 0.409
0.000 0.066 0.166
0.500 0.339 0.852
0.756 0.257 0.588
0.500 0.959 0.913
0.000 0.459 0.587
0.256 0.757 0.912
0.756 0.132 0.847
0.756 0.743 0.412
0.500 0.190 0.966
0.500 0.810 0.034
0.244 0.257 0.588
0.500 0.661 0.148
0.000 0.548 0.909
0.500 0.566 0.334
0.744 0.368 0.347
0.744 0.243 0.088
0.000 0.161 0.352
0.000 0.690 0.534
0.244 0.743 0.412
0.500 0.048 0.591
0.256 0.632 0.653
0.744 0.757 0.912
0.756 0.868 0.153
0.500 0.041 0.087
0.256 0.368 0.347
0.000 0.934 0.834
0.000 0.310 0.466
0.256 0.243 0.088
0.000 0.925 0.307
0.500 0.193 0.446
0.000 0.297 0.218
0.000 0.703 0.782
0.000 0.307 0.946
0.000 0.693 0.054
0.500 0.797 0.282
0.500 0.203 0.718
0.000 0.075 0.693
0.500 0.575 0.807
0.500 0.425 0.193
0.500 0.807 0.554
0.500 0.112 0.256
0.000 0.388 0.756
0.500 0.888 0.744
0.000 0.612 0.244
0.500 0.500 0.000
0.000 0.000 0.500
0.500 0.500 0.500
0.000 0.000 0.000
```

Summary:
M_tot = 0.0 μB/f.u.

---

[5]
KTi12Se16: optimized geometry, PBE.

```
KTi12Se16
1.0
-5.338 -0.131 4.782
6.622 -1.183 7.351
-0.074 9.205 -5.192
Ti Se K
12 16 1
direct
0.556 0.491 0.359
0.940 0.640 0.131
0.060 0.360 0.869
0.869 0.132 0.491
0.946 0.509 0.640
0.131 0.868 0.509
0.444 0.509 0.641
0.441 0.640 0.132
0.371 0.131 0.491
0.559 0.360 0.868
0.629 0.869 0.509
0.054 0.491 0.360
0.975 0.051 0.697
0.474 0.050 0.699
0.292 0.666 0.333
0.899 0.353 0.050
0.792 0.667 0.334
0.697 0.697 0.647
0.199 0.699 0.648
0.600 0.648 0.950
0.101 0.647 0.950
0.526 0.950 0.301
0.025 0.949 0.303
0.708 0.334 0.667
0.400 0.352 0.050
0.801 0.301 0.352
0.208 0.333 0.666
0.303 0.303 0.353
0.000 0.000 0.000
```

---

[6]
TaTi3: optimized geometry, PBE.

```
TaTi3
1.0
0.445 -5.100 -1.056
-2.861 -3.113 3.074
-0.948 4.295 -2.825
Ti Ta
3 1
direct
0.250 0.750 0.500
0.750 0.250 0.500
0.500 0.500 0.000
0.000 0.000 0.000
```

Summary:
M_tot = 0.0 μB/f.u.

---

[7]
DyHO2: optimized geometry, PBE.

```
DyHO2
1.0
-2.790 1.052 -1.924
-1.472 -4.760 -0.469
-6.040 0.954 9.281
O H Dy
8 4 4
direct
0.250 0.680 0.193
0.250 0.308 0.561
0.250 0.820 0.693
0.750 0.320 0.807
0.750 0.692 0.439
0.750 0.808 0.939
0.750 0.180 0.307
0.250 0.192 0.061
0.250 0.118 0.590
0.250 0.382 0.090
0.750 0.618 0.910
0.750 0.882 0.410
0.750 0.924 0.145
0.250 0.076 0.855
0.750 0.576 0.645
0.250 0.424 0.355
```

---

[8]
Ba2CdIn: optimized geometry, PBE.

```
Ba2CdIn
1.0
0.000 4.266 4.266
4.266 0.000 4.266
4.266 4.266 0.000
In Ba Cd
1 2 1
direct
0.000 0.000 0.000
0.750 0.750 0.750
0.250 0.250 0.250
0.500 0.500 0.500
```

---

[9]
Ca2ZnSn: optimized geometry, PBE.

```
Ca2ZnSn
1.0
-4.113 -3.357 0.845
-4.967 1.403 -1.504
-2.349 -2.472 -4.156
Ca Sn Zn
2 1 1
direct
0.250 0.250 0.250
0.750 0.750 0.750
0.500 0.500 0.500
0.000 0.000 0.000
```

Summary:
M_tot = 0.0 μB/f.u.

---

[10]
Nd2Fe15Si2: optimized geometry, PBE.

```
Nd2Fe15Si2
1.0
-4.450 -3.376 3.191
3.662 -1.911 4.931
-1.726 4.529 4.230
Fe Si Nd
15 2 2
direct
0.000 0.500 0.000
0.286 0.000 0.714
0.714 0.286 0.000
0.338 0.845 0.338
0.338 0.338 0.845
0.845 0.338 0.338
0.662 0.662 0.155
0.000 0.286 0.714
0.155 0.662 0.662
0.662 0.155 0.662
0.286 0.714 0.000
0.714 0.000 0.286
0.000 0.714 0.286
0.000 0.000 0.500
0.500 0.000 0.000
0.102 0.102 0.102
0.898 0.898 0.898
0.654 0.654 0.654
0.346 0.346 0.346
```

Summary:
M_tot = 29.8 μB/f.u.

---

[11]
SiO2: optimized geometry, PBE.

```
SiO2
1.0
-10.389 -3.920 6.535
6.996 -8.509 -6.682
2.210 -0.640 3.130
O Si
24 12
direct
0.778 0.557 0.000
0.598 0.000 0.500
0.560 0.440 0.000
0.000 0.402 0.500
0.000 0.296 0.000
0.402 0.000 0.500
0.296 0.000 0.000
0.598 0.598 0.500
0.000 0.704 0.000
0.440 0.881 0.000
0.119 0.560 0.000
0.560 0.119 0.000
0.296 0.296 0.000
0.440 0.560 0.000
0.402 0.402 0.500
0.704 0.000 0.000
0.881 0.440 0.000
0.557 0.778 0.000
0.778 0.222 0.000
0.443 0.222 0.000
0.222 0.778 0.000
0.222 0.443 0.000
0.000 0.598 0.500
0.704 0.704 0.000
0.571 0.666 0.155
0.905 0.334 0.845
0.334 0.905 0.155
0.095 0.666 0.845
0.571 0.905 0.845
0.334 0.429 0.845
0.666 0.095 0.155
0.905 0.571 0.155
0.666 0.571 0.845
0.429 0.095 0.845
0.429 0.334 0.155
0.095 0.429 0.155
```

Summary:
M_tot = 0.0 μB/f.u.

---

[12]
In4Pd17Se4: optimized geometry, PBE.

```
In4Pd17Se4
1.0
-7.291 7.291 2.018
7.291 -7.291 2.018
7.291 7.291 -2.018
Se Pd In
4 17 4
direct
0.377 0.929 0.306
0.071 0.377 0.448
0.623 0.071 0.694
0.929 0.623 0.552
0.748 0.185 0.933
0.455 0.228 0.682
0.136 0.979 0.115
0.545 0.772 0.318
0.021 0.136 0.158
0.698 0.909 0.607
0.909 0.302 0.211
0.302 0.091 0.393
0.772 0.455 0.227
0.185 0.252 0.436
0.091 0.698 0.789
0.864 0.021 0.885
0.979 0.864 0.842
0.228 0.545 0.773
0.500 0.500 0.000
0.252 0.815 0.067
0.815 0.748 0.564
0.662 0.616 0.277
0.616 0.338 0.954
0.384 0.662 0.046
0.338 0.384 0.723
```

Summary:
M_tot = 0.0 μB/f.u.

---

no.,energy of formation (meV per atom)
1,-3515
2,-1666
3,-3441
4,-210
5,-1490
6,97
7,-2985
8,-372
9,-515
10,-25
11,-2482
12,-469